Record 1
VASP calculation (GGA+U) on a geometry-optimized Li3Mn2FeB3O9 structure.

Cell and atoms, written as POSCAR:
```
Li3Mn2FeB3O9
1.0
3.170 0.000 0.000
0.000 8.250 0.000
0.000 0.012 14.315
B O Fe Li Mn
6 18 2 6 4
Direct
0.000 0.498 0.500
0.500 0.001 0.668
0.000 0.001 0.999
0.500 0.501 0.832
0.500 0.500 0.166
0.500 0.000 0.333
0.000 0.515 0.597
0.500 0.859 0.280
0.500 0.489 0.929
0.000 0.345 0.461
0.500 0.863 0.611
0.500 0.154 0.628
0.000 0.846 0.958
0.500 0.150 0.290
0.000 0.017 0.096
0.500 0.361 0.111
0.500 0.487 0.263
0.500 0.990 0.430
0.500 0.653 0.790
0.500 0.982 0.765
0.000 0.636 0.444
0.500 0.653 0.125
0.500 0.362 0.778
0.000 0.137 0.942
0.000 0.313 0.679
0.000 0.825 0.817
0.500 0.133 0.150
0.500 0.707 0.990
0.500 0.659 0.359
0.500 0.207 0.493
0.500 0.159 0.857
0.500 0.633 0.651
0.000 0.366 0.005
0.000 0.326 0.315
0.000 0.808 0.180
0.000 0.866 0.507
```

Output
E above lowest polymorph = 4 kJ/mol of formula units
density = 3.22 g/cm3
volume = 374 Å³/cell
space group = Pm, No. 6
E (MP2020) = -7.8432 eV per atom
energy of formation = -2449 meV/atom

***

Record 2
VASP calculation (GGA+U) on a geometry-optimized Li4MnTe3O12 structure.

Cell and atoms, written as POSCAR:
```
Li4MnTe3O12
1.0
-2.697 -2.471 -3.649
3.689 -3.413 -0.024
-4.215 -4.600 6.231
Te O Li Mn
3 12 4 1
Direct
0.000 0.500 0.394
0.500 0.000 0.926
0.500 0.500 0.599
0.147 0.285 0.558
0.667 0.297 0.418
0.847 0.741 0.250
0.333 0.703 0.418
0.852 0.715 0.558
0.192 0.212 0.947
0.688 0.194 0.093
0.153 0.259 0.250
0.312 0.806 0.093
0.808 0.788 0.947
0.684 0.219 0.777
0.316 0.782 0.777
0.000 0.000 0.692
0.500 0.000 0.296
0.500 0.500 0.180
0.000 0.500 0.866
0.000 0.000 0.102
```

Output
E above lowest polymorph = 0 kJ/mol of formula units
density = 4.77 g/cm3
volume = 229 Å³/cell
piezoelectric modulus e_max = 1.40 C/m²
space group = P2, No. 3
E (MP2020) = -6.1138 eV per atom
energy of formation = -1834 meV/atom

***

Record 3
VASP calculation (GGA+U) on a geometry-optimized BaSrTbWO6 structure.

Cell and atoms, written as POSCAR:
```
BaSrTbWO6
1.0
8.426 0.000 0.000
0.000 8.449 0.000
0.000 0.000 8.493
Sr O Ba Tb W
4 24 4 4 4
Direct
0.000 0.500 0.000
0.500 0.000 0.500
0.000 0.500 0.500
0.500 0.000 0.000
0.485 0.727 0.777
0.219 0.281 0.013
0.485 0.273 0.223
0.985 0.227 0.723
0.719 0.219 0.513
0.985 0.773 0.277
0.718 0.984 0.219
0.782 0.484 0.719
0.218 0.484 0.281
0.781 0.281 0.987
0.282 0.016 0.219
0.781 0.719 0.013
0.281 0.781 0.513
0.718 0.016 0.781
0.015 0.773 0.723
0.782 0.516 0.281
0.515 0.727 0.223
0.719 0.781 0.487
0.219 0.719 0.987
0.015 0.227 0.277
0.282 0.984 0.781
0.218 0.516 0.719
0.515 0.273 0.777
0.281 0.219 0.487
0.000 0.000 0.500
0.000 0.000 0.000
0.500 0.500 0.500
0.500 0.500 0.000
0.750 0.250 0.250
0.250 0.750 0.250
0.250 0.250 0.750
0.750 0.750 0.750
0.750 0.750 0.250
0.750 0.250 0.750
0.250 0.250 0.250
0.250 0.750 0.750
```

Output
E above lowest polymorph = 5 kJ/mol of formula units
density = 7.29 g/cm3
volume = 605 Å³/cell
space group = Pnnn, No. 48
E (MP2020) = -8.2172 eV per atom
energy of formation = -3128 meV/atom

***

Record 4
VASP calculation (GGA+U) on a geometry-optimized MgFe2S2O10 structure.

Cell and atoms, written as POSCAR:
```
MgFe2S2O10
1.0
-0.451 3.985 -3.316
-5.461 0.102 0.980
3.791 1.680 6.082
O Mg Fe S
10 1 2 2
Direct
0.162 0.697 0.401
0.808 0.316 0.120
0.838 0.303 0.599
0.679 0.876 0.721
0.321 0.124 0.279
0.190 0.264 0.921
0.339 0.329 0.667
0.192 0.684 0.880
0.810 0.736 0.079
0.661 0.671 0.333
0.500 0.500 0.500
0.000 0.000 0.000
0.500 0.000 0.500
0.857 0.602 0.226
0.143 0.398 0.774
```

Output
E above lowest polymorph = 0 kJ/mol of formula units
density = 3.33 g/cm3
volume = 179 Å³/cell
space group = P-1, No. 2
E (MP2020) = -7.0140 eV per atom
energy of formation = -1928 meV/atom

***

Record 5
VASP calculation (GGA+U) on a geometry-optimized LiVF4 structure.

Cell and atoms, written as POSCAR:
```
LiVF4
1.0
1.563 5.257 0.000
-1.563 5.257 0.000
0.000 2.674 4.805
F Li V
4 1 1
Direct
0.092 0.092 0.601
0.908 0.908 0.399
0.385 0.385 0.976
0.615 0.615 0.024
0.500 0.500 0.500
0.000 0.000 0.000
```

Output
E above lowest polymorph = 42 kJ/mol of formula units
density = 2.82 g/cm3
volume = 79 Å³/cell
space group = C2/m, No. 12
E (MP2020) = -6.2550 eV per atom
energy of formation = -3146 meV/atom

***

Record 6
VASP calculation (GGA+U) on a geometry-optimized Fe7P6O24 structure.

Cell and atoms, written as POSCAR:
```
Fe7P6O24
1.0
6.447 0.000 0.000
-1.601 7.907 0.000
-2.982 -3.092 8.401
O Fe P
24 7 6
Direct
0.632 0.234 0.990
0.551 0.635 0.214
0.113 0.787 0.417
0.790 0.047 0.794
0.750 0.723 0.038
0.887 0.213 0.583
0.307 0.540 0.416
0.456 0.269 0.274
0.979 0.809 0.842
0.210 0.953 0.206
0.021 0.191 0.158
0.876 0.467 0.338
0.544 0.731 0.726
0.276 0.039 0.737
0.227 0.201 0.441
0.936 0.450 0.846
0.250 0.277 0.962
0.368 0.766 0.010
0.124 0.533 0.662
0.449 0.365 0.786
0.064 0.550 0.154
0.724 0.961 0.263
0.773 0.799 0.559
0.693 0.460 0.584
0.000 0.000 0.500
0.045 0.724 0.030
0.385 0.454 0.614
0.282 0.811 0.788
0.718 0.189 0.212
0.615 0.546 0.386
0.955 0.276 0.970
0.602 0.770 0.132
0.398 0.230 0.868
0.091 0.594 0.333
0.771 0.849 0.731
0.229 0.151 0.269
0.909 0.406 0.667
```

Output
density = 3.73 g/cm3
volume = 428 Å³/cell
space group = P-1, No. 2
E (MP2020) = -8.0100 eV per atom
energy of formation = -2320 meV/atom

***

Record 7
VASP calculation (GGA+U) on a geometry-optimized Li4Nb3V3Fe2O16 structure.

Cell and atoms, written as POSCAR:
```
Li4Nb3V3Fe2O16
1.0
-5.933 -0.780 1.101
-1.747 -3.918 4.315
0.199 7.206 6.778
Fe O Li V Nb
2 16 4 3 3
Direct
0.674 0.674 0.997
0.348 0.348 0.520
0.502 0.969 0.164
0.481 0.481 0.663
0.476 0.042 0.657
0.841 0.841 0.890
0.328 0.328 0.898
0.004 0.004 0.684
0.003 0.003 0.188
0.969 0.502 0.164
0.516 0.516 0.173
0.162 0.162 0.400
0.316 0.847 0.894
0.658 0.658 0.404
0.847 0.316 0.894
0.042 0.476 0.657
0.674 0.175 0.403
0.175 0.674 0.403
0.988 0.988 0.506
0.332 0.332 0.099
0.993 0.993 0.001
0.666 0.666 0.614
0.827 0.827 0.290
0.664 0.167 0.785
0.167 0.664 0.785
0.836 0.343 0.287
0.343 0.836 0.287
0.170 0.170 0.786
```

Output
density = 4.30 g/cm3
volume = 319 Å³/cell
space group = Cm, No. 8
E (MP2020) = -8.2571 eV per atom
energy of formation = -2496 meV/atom

***

Record 8
VASP calculation (GGA+U) on a geometry-optimized La2NiRhO6 structure.

Cell and atoms, written as POSCAR:
```
La2NiRhO6
1.0
0.000 5.714 0.000
-5.577 0.000 7.925
5.574 0.000 7.915
La Rh O Ni
8 4 24 4
Direct
0.553 0.882 0.369
0.948 0.881 0.870
0.552 0.381 0.870
0.053 0.618 0.631
0.052 0.119 0.130
0.448 0.619 0.130
0.448 0.118 0.631
0.948 0.382 0.369
0.499 0.250 0.251
0.501 0.750 0.749
0.001 0.750 0.251
0.999 0.250 0.749
0.976 0.329 0.918
0.709 0.126 0.826
0.525 0.328 0.420
0.291 0.874 0.174
0.975 0.828 0.420
0.792 0.126 0.325
0.524 0.829 0.918
0.797 0.920 0.128
0.025 0.172 0.580
0.708 0.626 0.325
0.297 0.580 0.872
0.024 0.671 0.082
0.703 0.420 0.128
0.476 0.171 0.082
0.203 0.578 0.373
0.297 0.078 0.373
0.208 0.874 0.675
0.797 0.422 0.627
0.292 0.374 0.675
0.475 0.672 0.580
0.703 0.922 0.627
0.210 0.374 0.174
0.203 0.080 0.872
0.791 0.626 0.826
0.000 0.500 0.000
0.500 0.500 0.500
0.500 0.000 0.000
0.000 0.000 0.500
```

Output
density = 7.05 g/cm3
volume = 505 Å³/cell
space group = P2_1/c, No. 14
E (MP2020) = -7.8426 eV per atom
energy of formation = -2572 meV/atom

***

Record 9
VASP calculation (GGA+U) on a geometry-optimized Y2NiRuO6 structure.

Cell and atoms, written as POSCAR:
```
Y2NiRuO6
1.0
5.713 0.000 0.000
0.000 5.319 0.000
0.000 5.280 7.658
Y O Ru Ni
4 12 2 2
Direct
0.922 0.276 0.248
0.078 0.724 0.752
0.422 0.724 0.252
0.578 0.276 0.748
0.043 0.875 0.248
0.543 0.125 0.252
0.690 0.369 0.442
0.310 0.631 0.558
0.301 0.247 0.935
0.801 0.753 0.565
0.957 0.125 0.752
0.190 0.631 0.058
0.810 0.369 0.942
0.699 0.753 0.065
0.457 0.875 0.748
0.199 0.247 0.435
0.500 0.000 0.500
0.000 0.000 0.000
0.000 0.500 0.500
0.500 0.500 0.000
```

Output
density = 6.19 g/cm3
volume = 233 Å³/cell
space group = P2_1/c, No. 14
E (MP2020) = -8.4018 eV per atom
energy of formation = -2634 meV/atom

***

Record 10
VASP calculation (GGA+U) on a geometry-optimized CoPO4 structure.

Cell and atoms, written as POSCAR:
```
CoPO4
1.0
2.488 9.005 0.000
-2.488 9.005 0.000
0.000 6.958 13.851
O Co P
32 8 8
Direct
0.787 0.658 0.446
0.758 0.389 0.050
0.705 0.151 0.068
0.213 0.342 0.554
0.372 0.888 0.129
0.658 0.787 0.946
0.849 0.295 0.432
0.703 0.804 0.599
0.001 0.410 0.733
0.628 0.112 0.871
0.242 0.611 0.950
0.804 0.703 0.099
0.112 0.628 0.371
0.567 0.324 0.211
0.590 0.999 0.767
0.888 0.372 0.629
0.999 0.590 0.267
0.151 0.705 0.568
0.088 0.901 0.139
0.433 0.676 0.789
0.295 0.849 0.932
0.099 0.912 0.361
0.912 0.099 0.861
0.410 0.001 0.233
0.196 0.297 0.901
0.297 0.196 0.401
0.389 0.758 0.550
0.676 0.433 0.289
0.611 0.242 0.450
0.342 0.213 0.054
0.324 0.567 0.711
0.901 0.088 0.639
0.793 0.406 0.527
0.406 0.793 0.027
0.000 0.500 0.000
0.500 0.000 0.500
0.323 0.677 0.250
0.677 0.323 0.750
0.594 0.207 0.973
0.207 0.594 0.473
0.948 0.481 0.634
0.481 0.948 0.134
0.806 0.224 0.380
0.776 0.194 0.120
0.224 0.806 0.880
0.052 0.519 0.366
0.194 0.776 0.620
0.519 0.052 0.866
```

Output
density = 3.29 g/cm3
volume = 621 Å³/cell
space group = C2/c, No. 15
E (MP2020) = -7.1908 eV per atom
energy of formation = -1805 meV/atom

***

Please write out number 5 again, unchanged.
VASP calculation (GGA+U) on a geometry-optimized LiVF4 structure.

Cell and atoms, written as POSCAR:
```
LiVF4
1.0
1.563 5.257 0.000
-1.563 5.257 0.000
0.000 2.674 4.805
F Li V
4 1 1
Direct
0.092 0.092 0.601
0.908 0.908 0.399
0.385 0.385 0.976
0.615 0.615 0.024
0.500 0.500 0.500
0.000 0.000 0.000
```

Output
E above lowest polymorph = 42 kJ/mol of formula units
density = 2.82 g/cm3
volume = 79 Å³/cell
space group = C2/m, No. 12
E (MP2020) = -6.2550 eV per atom
energy of formation = -3146 meV/atom